one:
Density functional theory data (PBE with a Hubbard U) for Li8MnO4F2 after structural relaxation.

Summary:
Symmetry: Cmc2_1
Density, kg/m3: 2304

Cell lengths 5.685, 5.685, 10.882 Å; angles 90.00, 90.00, 119.48 degrees
Fractional coordinates of all 30 atoms:
Li  0.668  0.345  0.403
Li  0.306  0.002  0.263
Li  0.385  0.008  0.639
Li  0.998  0.694  0.763
Li  0.408  0.408  0.128
Li  0.687  0.687  0.274
Li  0.694  0.998  0.763
Li  0.313  0.313  0.774
Li  0.008  0.385  0.639
Li  0.345  0.668  0.403
Li  0.332  0.655  0.903
Li  0.615  0.992  0.139
Li  0.655  0.332  0.903
Li  0.002  0.306  0.263
Li  0.992  0.615  0.139
Li  0.592  0.592  0.628
O  0.666  0.326  0.219
O  0.674  0.334  0.719
O  0.016  0.016  0.685
O  0.350  0.350  0.951
O  0.334  0.674  0.719
O  0.984  0.984  0.185
O  0.650  0.650  0.451
O  0.326  0.666  0.219
F  0.996  0.648  0.950
F  0.352  0.004  0.450
F  0.648  0.996  0.950
F  0.004  0.352  0.450
Mn  0.026  0.026  0.000
Mn  0.974  0.974  0.500

two:
Density functional theory data (PBE with a Hubbard U) for Li8MnO4F2 after structural relaxation.

Summary:
Density, kg/m3: 2485

Cell lengths 6.127, 8.414, 11.163 Å; angles 90.23, 90.59, 80.70 degrees
Fractional coordinates of all 60 atoms:
Li  0.431  0.205  0.848
Li  0.265  0.384  0.573
Li  0.265  0.384  0.073
Li  0.907  0.451  0.669
Li  0.093  0.549  0.331
Li  0.346  0.638  0.528
Li  0.154  0.862  0.222
Li  0.569  0.795  0.152
Li  0.907  0.451  0.169
Li  0.765  0.884  0.323
Li  0.069  0.295  0.902
Li  0.735  0.616  0.927
Li  0.655  0.362  0.472
Li  0.845  0.138  0.778
Li  0.154  0.862  0.722
Li  0.655  0.362  0.972
Li  0.765  0.883  0.823
Li  0.235  0.116  0.677
Li  0.346  0.638  0.028
Li  0.931  0.705  0.598
Li  0.069  0.295  0.402
Li  0.093  0.549  0.831
Li  0.235  0.116  0.177
Li  0.407  0.951  0.419
Li  0.735  0.616  0.427
Li  0.593  0.049  0.581
Li  0.845  0.138  0.278
Li  0.406  0.951  0.919
Li  0.569  0.795  0.652
Li  0.931  0.705  0.098
Li  0.593  0.049  0.081
Li  0.431  0.205  0.348
Mn  0.500  0.500  0.250
Mn  0.000  0.000  0.000
Mn  0.500  0.500  0.750
Mn  0.000  0.000  0.500
F  0.978  0.738  0.421
F  0.478  0.238  0.171
F  0.022  0.262  0.579
F  0.478  0.238  0.672
F  0.978  0.738  0.921
F  0.522  0.762  0.329
F  0.522  0.762  0.829
F  0.022  0.262  0.079
O  0.320  0.926  0.582
O  0.839  0.920  0.662
O  0.339  0.420  0.912
O  0.820  0.426  0.832
O  0.680  0.074  0.418
O  0.820  0.426  0.332
O  0.839  0.920  0.162
O  0.339  0.420  0.412
O  0.180  0.574  0.668
O  0.180  0.574  0.168
O  0.680  0.074  0.918
O  0.161  0.080  0.338
O  0.661  0.580  0.088
O  0.161  0.080  0.838
O  0.320  0.926  0.082
O  0.661  0.580  0.588

Most stable to least stable, the ends of the list are two and one.

one:
Density functional theory data (PBE with a Hubbard U) for Li3MnO2F2 after structural relaxation.

Summary:
Symmetry: Cc
Density, kg/m3: 3259

Cell lengths 5.976, 5.976, 9.393 Å; angles 70.34, 70.34, 86.23 degrees
Fractional coordinates of all 32 atoms:
F  0.569  0.313  0.631
F  0.920  0.689  0.383
F  0.203  0.949  0.873
F  0.689  0.920  0.883
F  0.313  0.569  0.131
F  0.679  0.432  0.871
F  0.432  0.679  0.371
F  0.949  0.203  0.373
O  0.838  0.554  0.109
O  0.078  0.297  0.625
O  0.554  0.838  0.609
O  0.052  0.806  0.649
O  0.448  0.181  0.378
O  0.181  0.448  0.878
O  0.806  0.052  0.149
O  0.297  0.078  0.125
Li  0.071  0.822  0.124
Li  0.827  0.544  0.625
Li  0.681  0.441  0.357
Li  0.822  0.071  0.624
Li  0.544  0.827  0.125
Li  0.196  0.440  0.381
Li  0.297  0.548  0.633
Li  0.198  0.947  0.369
Li  0.947  0.198  0.869
Li  0.440  0.196  0.881
Li  0.548  0.297  0.133
Li  0.441  0.681  0.857
Mn  0.940  0.674  0.877
Mn  0.300  0.064  0.616
Mn  0.064  0.300  0.116
Mn  0.674  0.940  0.377

two:
Density functional theory data (PBE with a Hubbard U) for Li3MnO2F2 after structural relaxation.

Summary:
Density, kg/m3: 3279

Cell lengths 5.059, 7.863, 7.863 Å; angles 99.63, 100.75, 100.75 degrees
Fractional coordinates of all 32 atoms:
Li  0.250  0.806  0.694
Li  0.250  0.070  0.430
Li  0.250  0.306  0.194
Li  0.750  0.694  0.806
Li  0.250  0.570  0.930
Li  0.250  0.185  0.815
Li  0.750  0.194  0.306
Li  0.750  0.815  0.185
Li  0.750  0.930  0.570
Li  0.750  0.430  0.070
Li  0.250  0.685  0.315
Li  0.750  0.315  0.685
F  0.995  0.814  0.434
F  0.005  0.186  0.567
F  0.995  0.314  0.933
F  0.005  0.686  0.066
F  0.495  0.433  0.814
F  0.495  0.934  0.314
F  0.505  0.566  0.186
F  0.505  0.066  0.686
Mn  0.750  0.054  0.946
Mn  0.750  0.554  0.446
Mn  0.250  0.946  0.054
Mn  0.250  0.446  0.554
O  0.485  0.324  0.443
O  0.015  0.557  0.676
O  0.015  0.057  0.176
O  0.485  0.824  0.943
O  0.515  0.176  0.057
O  0.515  0.676  0.557
O  0.985  0.443  0.324
O  0.985  0.943  0.824

Most stable to least stable, the ends of the list are two and one.

one:
Density functional theory data (PBE with a Hubbard U) for Li7MnO3F3 after structural relaxation.

Summary:
Symmetry: P1
Density, kg/m3: 2317

Cell lengths 5.477, 6.524, 10.290 Å; angles 84.38, 76.23, 119.97 degrees
Fractional coordinates of all 28 atoms:
O  0.930  0.127  0.625
O  0.621  0.276  0.465
O  0.392  0.249  0.043
O  0.062  0.357  0.875
O  0.251  0.927  0.808
O  0.357  0.695  0.559
Li  0.763  0.810  0.539
Li  0.940  0.897  0.741
Li  0.103  0.100  0.225
Li  0.532  0.533  0.120
Li  0.303  0.374  0.666
Li  0.202  0.682  0.951
Li  0.879  0.394  0.277
Li  0.514  0.012  0.618
Li  0.461  0.952  0.397
Li  0.270  0.226  0.445
Li  0.732  0.257  0.056
Li  0.691  0.128  0.815
Li  0.107  0.619  0.746
Li  0.473  0.491  0.890
Mn  0.086  0.058  0.955
Mn  0.989  0.452  0.517
F  0.240  0.419  0.296
F  0.611  0.788  0.949
F  0.749  0.083  0.213
F  0.906  0.587  0.118
F  0.100  0.926  0.383
F  0.734  0.579  0.707

two:
Density functional theory data (PBE with a Hubbard U) for Li7MnO3F3 after structural relaxation.

Summary:
Symmetry: P1
Density, kg/m3: 2317

Cell lengths 5.477, 6.071, 10.137 Å; angles 105.91, 91.31, 111.43 degrees
Fractional coordinates of all 28 atoms:
Li  0.000  0.467  0.880
Li  0.043  0.103  0.259
Li  0.928  0.626  0.334
Li  0.520  0.318  0.049
Li  0.954  0.190  0.461
Li  0.488  0.381  0.254
Li  0.563  0.872  0.185
Li  0.475  0.743  0.944
Li  0.982  0.509  0.110
Li  0.044  0.774  0.555
Li  0.502  0.988  0.382
Li  0.485  0.606  0.723
Li  0.002  0.900  0.775
Li  0.509  0.048  0.603
O  0.143  0.751  0.957
O  0.325  0.073  0.192
O  0.345  0.724  0.535
O  0.803  0.873  0.375
O  0.662  0.305  0.441
O  0.705  0.643  0.125
F  0.666  0.917  0.787
F  0.155  0.421  0.293
F  0.174  0.074  0.617
F  0.821  0.581  0.704
F  0.319  0.413  0.882
F  0.823  0.212  0.051
Mn  0.537  0.548  0.483
Mn  0.028  0.942  0.045

Most stable to least stable, the ends of the list are one and two.